# r²SCAN U8TiS17, relaxed
# Size of the total moment (μB per formula unit): 18.0
# Calculated volume (Å³/atom): 22.4
data_U8TiS17
_space_group_name_H-M_alt 'C 1 2/m 1'
_space_group_IT_number 12
_cell_length_a 13.3111
_cell_length_b 8.5167
_cell_length_c 10.4554
_cell_angle_alpha 90.00
_cell_angle_beta 100.82
_cell_angle_gamma 90.00
loop_
_space_group_symop_operation_xyz
'x,y,z'
'-x,-y,-z'
'-x,y,-z'
'x,-y,z'
'x+1/2,y+1/2,z'
'-x+1/2,-y+1/2,-z'
'-x+1/2,y+1/2,-z'
'x+1/2,-y+1/2,z'
loop_
_atom_site_label
_atom_site_type_symbol
_atom_site_fract_x
_atom_site_fract_y
_atom_site_fract_z
U1 U 0.0577 0.2421 0.2020
U2 U 0.1798 0.5000 0.5183
U3 U 0.2064 0.0000 0.9586
Ti1 Ti 0.0000 0.0000 0.5000
S1 S 0.0000 0.0000 0.0000
S2 S 0.0200 0.5000 0.6683
S3 S 0.0594 0.0000 0.7273
S4 S 0.1275 0.3033 0.9669
S5 S 0.1318 0.1912 0.4726
S6 S 0.1968 0.5000 0.2547
S7 S 0.2096 0.0000 0.2232

# r²SCAN Ti2VS4, relaxed
# Size of the total moment (μB per formula unit): 1.1
# Calculated volume (Å³/atom): 17.3
data_Ti2VS4
_space_group_name_H-M_alt 'C 1 2/m 1'
_space_group_IT_number 12
_cell_length_a 12.9457
_cell_length_b 3.4473
_cell_length_c 6.0651
_cell_angle_alpha 90.00
_cell_angle_beta 116.74
_cell_angle_gamma 90.00
loop_
_space_group_symop_operation_xyz
'x,y,z'
'-x,-y,-z'
'-x,y,-z'
'x,-y,z'
'x+1/2,y+1/2,z'
'-x+1/2,-y+1/2,-z'
'-x+1/2,y+1/2,-z'
'x+1/2,-y+1/2,z'
loop_
_atom_site_label
_atom_site_type_symbol
_atom_site_fract_x
_atom_site_fract_y
_atom_site_fract_z
Ti1 Ti 0.2430 0.0000 0.2134
V1 V 0.0000 0.5000 0.5000
S1 S 0.1170 0.5000 0.9480
S2 S 0.1339 0.0000 0.4762

# r²SCAN Ti3VS6, relaxed
# Size of the total moment (μB per formula unit): 2.2
# Calculated volume (Å³/atom): 17.8
data_Ti3VS6
_space_group_name_H-M_alt 'R -3'
_space_group_IT_number 148
_space_group_name_Hall '-R 3'
_cell_length_a 5.9163
_cell_length_b 5.9163
_cell_length_c 17.5896
_cell_angle_alpha 90.00
_cell_angle_beta 90.00
_cell_angle_gamma 120.00
loop_
_atom_site_label
_atom_site_type_symbol
_atom_site_fract_x
_atom_site_fract_y
_atom_site_fract_z
Ti1 Ti 0.0000 0.0000 0.0000
Ti2 Ti 0.0000 0.0000 0.3306
V1 V 0.0000 0.0000 0.5000
S1 S 0.0023 0.3315 0.5843

# r²SCAN ZrTiS6, relaxed
# Size of the total moment (μB per formula unit): 0.0
# Calculated volume (Å³/atom): 20.5
data_ZrTiS6
_space_group_name_H-M_alt 'P 1 m 1'
_space_group_IT_number 6
_cell_length_a 5.1199
_cell_length_b 3.5359
_cell_length_c 9.1141
_cell_angle_alpha 90.00
_cell_angle_beta 96.54
_cell_angle_gamma 90.00
loop_
_space_group_symop_operation_xyz
'x,y,z'
'x,-y,z'
loop_
_atom_site_label
_atom_site_type_symbol
_atom_site_fract_x
_atom_site_fract_y
_atom_site_fract_z
Zr1 Zr 0.0000 0.0000 0.0000
Ti1 Ti 0.5597 0.5000 0.2999
S1 S 0.0419 0.5000 0.2069
S2 S 0.1626 0.5000 0.8211
S3 S 0.3959 0.0000 0.4636
S4 S 0.5210 0.0000 0.1053
S5 S 0.7605 0.5000 0.8239
S6 S 0.7908 0.0000 0.4627

# r²SCAN TlS, relaxed
# Size of the total moment (μB per formula unit): 0.0
# Calculated volume (Å³/atom): 26.7
data_TlS
_space_group_name_H-M_alt 'I 4/m c m'
_space_group_IT_number 140
_space_group_name_Hall '-I 4 2c'
_cell_length_a 7.8636
_cell_length_b 7.8636
_cell_length_c 6.9123
_cell_angle_alpha 90.00
_cell_angle_beta 90.00
_cell_angle_gamma 90.00
loop_
_atom_site_label
_atom_site_type_symbol
_atom_site_fract_x
_atom_site_fract_y
_atom_site_fract_z
Tl1 Tl 0.0000 0.0000 0.2500
Tl2 Tl 0.0000 0.5000 0.2500
S1 S 0.1715 0.3285 0.0000

# r²SCAN TlS, relaxed
# Size of the total moment (μB per formula unit): 0.0
# Calculated volume (Å³/atom): 25.3
data_TlS
_space_group_name_H-M_alt 'R -3 m'
_space_group_IT_number 166
_space_group_name_Hall '-R 3 2"'
_cell_length_a 4.0027
_cell_length_b 4.0027
_cell_length_c 21.9106
_cell_angle_alpha 90.00
_cell_angle_beta 90.00
_cell_angle_gamma 120.00
loop_
_atom_site_label
_atom_site_type_symbol
_atom_site_fract_x
_atom_site_fract_y
_atom_site_fract_z
Tl1 Tl 0.0000 0.0000 0.0000
Tl2 Tl 0.0000 0.0000 0.5000
S1 S 0.0000 0.0000 0.2351

# r²SCAN TmTlS2, relaxed
# Size of the total moment (μB per formula unit): 0.0
# Calculated volume (Å³/atom): 25.4
data_TmTlS2
_space_group_name_H-M_alt 'R -3 m'
_space_group_IT_number 166
_space_group_name_Hall '-R 3 2"'
_cell_length_a 3.9531
_cell_length_b 3.9531
_cell_length_c 22.4943
_cell_angle_alpha 90.00
_cell_angle_beta 90.00
_cell_angle_gamma 120.00
loop_
_atom_site_label
_atom_site_type_symbol
_atom_site_fract_x
_atom_site_fract_y
_atom_site_fract_z
Tm1 Tm 0.0000 0.0000 0.0000
Tl1 Tl 0.0000 0.0000 0.5000
S1 S 0.0000 0.0000 0.2682

# r²SCAN TlV6S8, relaxed
# Size of the total moment (μB per formula unit): 0.0
# Calculated volume (Å³/atom): 15.9
data_TlV6S8
_space_group_name_H-M_alt 'P -3'
_space_group_IT_number 147
_cell_length_a 9.2328
_cell_length_b 9.2328
_cell_length_c 3.2301
_cell_angle_alpha 90.00
_cell_angle_beta 90.00
_cell_angle_gamma 120.00
loop_
_space_group_symop_operation_xyz
'x,y,z'
'-x,-y,-z'
'-y,x-y,z'
'y,-x+y,-z'
'-x+y,-x,z'
'x-y,x,-z'
loop_
_atom_site_label
_atom_site_type_symbol
_atom_site_fract_x
_atom_site_fract_y
_atom_site_fract_z
Tl1 Tl 0.0000 0.0000 0.0000
V1 V 0.1112 0.6221 0.7518
S1 S 0.0530 0.3477 0.7463
S2 S 0.3333 0.6667 0.2509

# r²SCAN YbTlS2, relaxed
# Size of the total moment (μB per formula unit): 0.0
# Calculated volume (Å³/atom): 25.2
data_YbTlS2
_space_group_name_H-M_alt 'R -3 m'
_space_group_IT_number 166
_space_group_name_Hall '-R 3 2"'
_cell_length_a 3.9359
_cell_length_b 3.9359
_cell_length_c 22.5143
_cell_angle_alpha 90.00
_cell_angle_beta 90.00
_cell_angle_gamma 120.00
loop_
_atom_site_label
_atom_site_type_symbol
_atom_site_fract_x
_atom_site_fract_y
_atom_site_fract_z
Yb1 Yb 0.0000 0.0000 0.0000
Tl1 Tl 0.0000 0.0000 0.5000
S1 S 0.0000 0.0000 0.2684

# r²SCAN ZrTl4S4, relaxed
# Size of the total moment (μB per formula unit): 0.0
# Calculated volume (Å³/atom): 27.5
data_ZrTl4S4
_space_group_name_H-M_alt 'P -1'
_space_group_IT_number 2
_cell_length_a 9.1776
_cell_length_b 9.1779
_cell_length_c 15.6733
_cell_angle_alpha 104.93
_cell_angle_beta 103.85
_cell_angle_gamma 90.05
loop_
_space_group_symop_operation_xyz
'x,y,z'
'-x,-y,-z'
loop_
_atom_site_label
_atom_site_type_symbol
_atom_site_fract_x
_atom_site_fract_y
_atom_site_fract_z
Zr1 Zr 0.0000 0.0000 0.0000
Zr2 Zr 0.1817 0.0160 0.5994
Zr3 Zr 0.1908 0.8254 0.8006
Tl1 Tl 0.0329 0.5875 0.4007
Tl2 Tl 0.0463 0.7772 0.2034
Tl3 Tl 0.2009 0.3867 0.1915
Tl4 Tl 0.2156 0.6083 0.9986
Tl5 Tl 0.2192 0.2151 0.4012
Tl6 Tl 0.3947 0.4180 0.7983
Tl7 Tl 0.3968 0.2224 0.9925
Tl8 Tl 0.4021 0.6238 0.6105
Tl9 Tl 0.4135 0.7834 0.4031
Tl10 Tl 0.4210 0.9557 0.2000
S1 S 0.0712 0.2709 0.9970
S2 S 0.0801 0.0876 0.1776
S3 S 0.1045 0.9317 0.4222
S4 S 0.1135 0.7493 0.6230
S5 S 0.1182 0.5596 0.8025
S6 S 0.2365 0.0937 0.7762
S7 S 0.2522 0.2849 0.6041
S8 S 0.2654 0.9270 0.9786
S9 S 0.4462 0.9374 0.5961
S10 S 0.4594 0.7606 0.8054

# r²SCAN Tm8S11, relaxed
# Size of the total moment (μB per formula unit): 0.0
# Calculated volume (Å³/atom): 21.7
data_Tm8S11
_space_group_name_H-M_alt 'C m c m'
_space_group_IT_number 63
_space_group_name_Hall '-C 2c 2'
_cell_length_a 3.7336
_cell_length_b 12.6344
_cell_length_c 34.9399
_cell_angle_alpha 90.00
_cell_angle_beta 90.00
_cell_angle_gamma 90.00
loop_
_atom_site_label
_atom_site_type_symbol
_atom_site_fract_x
_atom_site_fract_y
_atom_site_fract_z
Tm1 Tm 0.0000 0.0000 0.0000
Tm2 Tm 0.0000 0.0188 0.1329
Tm3 Tm 0.0000 0.2396 0.6828
Tm4 Tm 0.0000 0.2573 0.0579
Tm5 Tm 0.0000 0.4895 0.7500
S1 S 0.0000 0.0898 0.5684
S2 S 0.0000 0.1149 0.2033
S3 S 0.0000 0.1426 0.7500
S4 S 0.0000 0.3349 0.6117
S5 S 0.0000 0.3534 0.5162
S6 S 0.0000 0.3969 0.1628

# r²SCAN Tm5S7, relaxed
# Size of the total moment (μB per formula unit): 0.0
# Calculated volume (Å³/atom): 21.7
data_Tm5S7
_space_group_name_H-M_alt 'C 1 2/m 1'
_space_group_IT_number 12
_cell_length_a 12.5963
_cell_length_b 3.7346
_cell_length_c 11.4374
_cell_angle_alpha 90.00
_cell_angle_beta 104.54
_cell_angle_gamma 90.00
loop_
_space_group_symop_operation_xyz
'x,y,z'
'-x,-y,-z'
'-x,y,-z'
'x,-y,z'
'x+1/2,y+1/2,z'
'-x+1/2,-y+1/2,-z'
'-x+1/2,y+1/2,-z'
'x+1/2,-y+1/2,z'
loop_
_atom_site_label
_atom_site_type_symbol
_atom_site_fract_x
_atom_site_fract_y
_atom_site_fract_z
Tm1 Tm 0.0000 0.0000 0.0000
Tm2 Tm 0.1116 0.0000 0.4217
Tm3 Tm 0.2000 0.5000 0.8129
S1 S 0.0000 0.5000 0.5000
S2 S 0.0410 0.0000 0.7852
S3 S 0.1588 0.5000 0.0515
S4 S 0.2410 0.5000 0.3533

# r²SCAN Tm2ZnS4, relaxed
# Size of the total moment (μB per formula unit): 0.0
# Calculated volume (Å³/atom): 23.0
data_Tm2ZnS4
_space_group_name_H-M_alt 'P n m a'
_space_group_IT_number 62
_cell_length_a 13.3061
_cell_length_b 7.7466
_cell_length_c 6.2528
_cell_angle_alpha 90.00
_cell_angle_beta 90.00
_cell_angle_gamma 90.00
loop_
_space_group_symop_operation_xyz
'x,y,z'
'-x,-y,-z'
'-x+1/2,-y,z+1/2'
'x+1/2,y,-z+1/2'
'x+1/2,-y+1/2,-z+1/2'
'-x+1/2,y+1/2,z+1/2'
'-x,y+1/2,-z'
'x,-y+1/2,z'
loop_
_atom_site_label
_atom_site_type_symbol
_atom_site_fract_x
_atom_site_fract_y
_atom_site_fract_z
Tm1 Tm 0.0000 0.0000 0.0000
Tm2 Tm 0.2346 0.2500 0.4963
Zn1 Zn 0.0921 0.7500 0.4120
S1 S 0.0707 0.2500 0.7439
S2 S 0.0900 0.7500 0.7761
S3 S 0.1682 0.5118 0.2433

# r²SCAN U2S5, relaxed
# Size of the total moment (μB per formula unit): 4.0
# Calculated volume (Å³/atom): 20.0
data_U2S5
_space_group_name_H-M_alt 'P b c n'
_space_group_IT_number 60
_cell_length_a 7.5477
_cell_length_b 9.9335
_cell_length_c 7.4686
_cell_angle_alpha 90.00
_cell_angle_beta 90.00
_cell_angle_gamma 90.00
loop_
_space_group_symop_operation_xyz
'x,y,z'
'-x,-y,-z'
'-x+1/2,-y+1/2,z+1/2'
'x+1/2,y+1/2,-z+1/2'
'x+1/2,-y+1/2,-z'
'-x+1/2,y+1/2,z'
'-x,y,-z+1/2'
'x,-y,z+1/2'
loop_
_atom_site_label
_atom_site_type_symbol
_atom_site_fract_x
_atom_site_fract_y
_atom_site_fract_z
U1 U 0.2293 0.1473 0.0170
S1 S 0.0000 0.2487 0.7500
S2 S 0.1010 0.3995 0.1507
S3 S 0.1360 0.1070 0.3874

# r²SCAN U3S5, relaxed
# Size of the total moment (μB per formula unit): 8.0
# Calculated volume (Å³/atom): 22.3
data_U3S5
_space_group_name_H-M_alt 'P n m a'
_space_group_IT_number 62
_cell_length_a 11.9188
_cell_length_b 8.0201
_cell_length_c 7.4686
_cell_angle_alpha 90.00
_cell_angle_beta 90.00
_cell_angle_gamma 90.00
loop_
_space_group_symop_operation_xyz
'x,y,z'
'-x,-y,-z'
'-x+1/2,-y,z+1/2'
'x+1/2,y,-z+1/2'
'x+1/2,-y+1/2,-z+1/2'
'-x+1/2,y+1/2,z+1/2'
'-x,y+1/2,-z'
'x,-y+1/2,z'
loop_
_atom_site_label
_atom_site_type_symbol
_atom_site_fract_x
_atom_site_fract_y
_atom_site_fract_z
U1 U 0.0088 0.2500 0.0737
U2 U 0.1779 0.0006 0.5206
S1 S 0.0010 0.7500 0.5409
S2 S 0.0994 0.5429 0.1626
S3 S 0.1866 0.2500 0.8282
S4 S 0.2163 0.7500 0.8014

# r²SCAN US3, relaxed
# Size of the total moment (μB per formula unit): 2.0
# Calculated volume (Å³/atom): 25.0
data_US3
_space_group_name_H-M_alt 'P 1 21/m 1'
_space_group_IT_number 11
_cell_length_a 5.4575
_cell_length_b 3.9743
_cell_length_c 9.3153
_cell_angle_alpha 90.00
_cell_angle_beta 97.65
_cell_angle_gamma 90.00
loop_
_space_group_symop_operation_xyz
'x,y,z'
'-x,-y,-z'
'-x,y+1/2,-z'
'x,-y+1/2,z'
loop_
_atom_site_label
_atom_site_type_symbol
_atom_site_fract_x
_atom_site_fract_y
_atom_site_fract_z
U1 U 0.2149 0.2500 0.3503
S1 S 0.0150 0.2500 0.8265
S2 S 0.2635 0.7500 0.5584
S3 S 0.3633 0.7500 0.1731

Number 1: ΔH_f (0 K) -1.836 eV/atom. Number 2: ΔH_f (0 K) -1.521 eV/atom. Number 3: ΔH_f (0 K) -1.533 eV/atom. Number 4: ΔH_f (0 K) -1.244 eV/atom. Number 5: ΔH_f (0 K) -0.308 eV/atom. Number 6: ΔH_f (0 K) -0.292 eV/atom. Number 7: ΔH_f (0 K) -1.716 eV/atom. Number 8: ΔH_f (0 K) -1.076 eV/atom. Number 9: ΔH_f (0 K) -1.715 eV/atom. Number 10: ΔH_f (0 K) -0.942 eV/atom. Number 11: ΔH_f (0 K) -2.346 eV/atom. Number 12: ΔH_f (0 K) -2.356 eV/atom. Number 13: ΔH_f (0 K) -1.966 eV/atom. Number 14: ΔH_f (0 K) -1.565 eV/atom. Number 15: ΔH_f (0 K) -1.909 eV/atom. Number 16: ΔH_f (0 K) -1.422 eV/atom.